[1]
# GePbN2 | the Materials Project | PBE | relaxed
# Density ... 8.46 g cm⁻³
# Magnetization ... 0.000 μB/atom
# Total energy ... -386.0 eV/cell
# DFT formation energy ... 40 meV/atom
data_GePbN2
_symmetry_space_group_name_H-M 'P b c a'
_symmetry_Int_Tables_number 61
_cell_length_a 5.507
_cell_length_b 10.978
_cell_length_c 15.993
_cell_angle_alpha 90.00
_cell_angle_beta 90.00
_cell_angle_gamma 90.00
loop_
_symmetry_equiv_pos_as_xyz
'x,y,z'
'-x,-y,-z'
'-x+1/2,-y,z+1/2'
'x+1/2,y,-z+1/2'
'x+1/2,-y+1/2,-z'
'-x+1/2,y+1/2,z'
'-x,y+1/2,-z+1/2'
'x,-y+1/2,z+1/2'
loop_
_atom_site_label
_atom_site_fract_x
_atom_site_fract_y
_atom_site_fract_z
Ge1 0.235 0.000 0.189
Ge2 0.236 0.238 0.563
Pb1 0.232 0.750 0.315
Pb2 0.241 0.504 0.935
N1 0.060 0.544 0.786
N2 0.087 0.699 0.973
N3 0.130 0.590 0.596
N4 0.184 0.166 0.161

[2]
# Tb4BClO7 | the Materials Project | PBE | relaxed
# Density ... 6.99 g cm⁻³
# Magnetization ... 0.000 μB/atom
# Total energy ... -418.6 eV/cell
# DFT formation energy ... -3674 meV/atom
data_Tb4BClO7
_symmetry_space_group_name_H-M 'P 1 21/c 1'
_symmetry_Int_Tables_number 14
_cell_length_a 8.708
_cell_length_b 8.133
_cell_length_c 12.429
_cell_angle_alpha 90.00
_cell_angle_beta 120.96
_cell_angle_gamma 90.00
loop_
_symmetry_equiv_pos_as_xyz
'x,y,z'
'-x,-y,-z'
'-x,y+1/2,-z+1/2'
'x,-y+1/2,z+1/2'
loop_
_atom_site_label
_atom_site_fract_x
_atom_site_fract_y
_atom_site_fract_z
Tb1 0.073 0.136 0.420
Tb2 0.082 0.617 0.414
Tb3 0.299 0.129 0.781
Tb4 0.315 0.616 0.779
B1 0.369 0.128 0.087
Cl1 0.382 0.637 0.037
O1 0.041 0.123 0.597
O2 0.065 0.624 0.592
O3 0.175 0.116 0.279
O4 0.194 0.636 0.277
O5 0.278 0.119 0.957
O6 0.391 0.220 0.642
O7 0.424 0.514 0.657

[3]
# V2NiSe4 | the Materials Project | PBE | relaxed
# Density ... 6.00 g cm⁻³
# Magnetization ... 0.297 μB/atom
# Total energy ... -83.1 eV/cell
# DFT formation energy ... -789 meV/atom
data_V2NiSe4
_symmetry_space_group_name_H-M 'C 1 2/m 1'
_symmetry_Int_Tables_number 12
_cell_length_a 6.183
_cell_length_b 3.585
_cell_length_c 11.910
_cell_angle_alpha 90.00
_cell_angle_beta 91.36
_cell_angle_gamma 90.00
loop_
_symmetry_equiv_pos_as_xyz
'x,y,z'
'-x,-y,-z'
'-x,y,-z'
'x,-y,z'
'x+1/2,y+1/2,z'
'-x+1/2,-y+1/2,-z'
'-x+1/2,y+1/2,-z'
'x+1/2,-y+1/2,z'
loop_
_atom_site_label
_atom_site_fract_x
_atom_site_fract_y
_atom_site_fract_z
V1 0.011 0.000 0.248
Ni1 0.000 0.000 0.000
Se1 0.161 0.500 0.884
Se2 0.184 0.500 0.367

[4]
# TaAlOs2 | the Materials Project | PBE | relaxed
# Density ... 16.17 g cm⁻³
# Total energy ... -161.1 eV/cell
# DFT formation energy ... -552 meV/atom
data_TaAlOs2
_symmetry_space_group_name_H-M 'F m -3 m'
_symmetry_Int_Tables_number 225
_symmetry_space_group_name_Hall '-F 4 2 3'
_cell_length_a 6.229
_cell_length_b 6.229
_cell_length_c 6.229
_cell_angle_alpha 90.00
_cell_angle_beta 90.00
_cell_angle_gamma 90.00
loop_
_atom_site_label
_atom_site_fract_x
_atom_site_fract_y
_atom_site_fract_z
Ta1 0.000 0.000 0.000
Al1 0.000 0.000 0.500
Os1 0.250 0.250 0.250

[5]
# Ba6MgNb2IrCl2O12 | the Materials Project | PBE | relaxed
# Density ... 4.97 g cm⁻³
# Magnetization ... 0.041 μB/atom
# Total energy ... -164.3 eV/cell
# DFT formation energy ... -2805 meV/atom
data_Ba6MgNb2IrCl2O12
_symmetry_space_group_name_H-M 'P -1'
_symmetry_Int_Tables_number 2
_cell_length_a 5.960
_cell_length_b 6.262
_cell_length_c 15.276
_cell_angle_alpha 96.72
_cell_angle_beta 90.25
_cell_angle_gamma 118.25
loop_
_symmetry_equiv_pos_as_xyz
'x,y,z'
'-x,-y,-z'
loop_
_atom_site_label
_atom_site_fract_x
_atom_site_fract_y
_atom_site_fract_z
Ba1 0.084 0.179 0.223
Ba2 0.232 0.454 0.639
Ba3 0.251 0.490 0.896
Mg1 0.000 0.000 0.000
Nb1 0.404 0.821 0.180
Ir1 0.500 0.000 0.000
Cl1 0.172 0.344 0.427
O1 0.119 0.729 0.251
O2 0.204 0.932 0.085
O3 0.251 0.499 0.101
O4 0.281 0.063 0.919
O5 0.382 0.261 0.751
O6 0.410 0.817 0.772

[6]
# EuAg2Sn | the Materials Project | PBE | relaxed
# Density ... 8.69 g cm⁻³
# Total energy ... -85.4 eV/cell
# DFT formation energy ... -354 meV/atom
data_EuAg2Sn
_symmetry_space_group_name_H-M 'F m -3 m'
_symmetry_Int_Tables_number 225
_symmetry_space_group_name_Hall '-F 4 2 3'
_cell_length_a 7.190
_cell_length_b 7.190
_cell_length_c 7.190
_cell_angle_alpha 90.00
_cell_angle_beta 90.00
_cell_angle_gamma 90.00
loop_
_atom_site_label
_atom_site_fract_x
_atom_site_fract_y
_atom_site_fract_z
Eu1 0.000 0.000 0.000
Ag1 0.250 0.250 0.250
Sn1 0.000 0.000 0.500